Ta2ReMo | r2SCAN | optimized geometry

- E (eV for the cell shown) = -177.21
- space group = Fm-3m, No. 225

Geometry as POSCAR:
```
Ta2ReMo
1.0
-3.6732 -1.3242 -2.3039
-3.3224 2.9609 -0.8655
-0.6749 1.4763 -4.2331
Ta Re Mo
2 1 1
Cartesian
-3.8353 1.5565 -3.7013
0.0000 0.0000 0.0000
-5.7529 2.3348 -5.5519
-1.9177 0.7783 -1.8506
```